Entry 1:
This record from the Materials Project describes a relaxed structure of YGa5Co. The functional is PBE-GGA.

Calculated values
* ΔE_f: -0.47 eV/atom
* ρ: 6.7 g cm⁻³
* symmetry: No. 123

a b c (Å): 4.237 4.237 6.833
angles (deg): 90.00 90.00 90.00
Fractional coordinates of all 7 atoms:
Y1 0.000 0.000 0.000
Ga1 0.000 0.500 0.311
Ga2 0.000 0.500 0.689
Ga3 0.500 0.000 0.311
Ga4 0.500 0.000 0.689
Ga5 0.500 0.500 0.000
Co1 0.000 0.000 0.500



Entry 2:
This record from the Materials Project describes a relaxed structure of CsKZr6BCl15. The functional is PBE-GGA.

Calculated values
* ΔE_f: -2.20 eV/atom
* size of the total moment: 0.000 μB/atom
* energy with MP2020 corrections: -5.8497 eV per atom
* ρ: 3.1 g cm⁻³
* symmetry: No. 51

a b c (Å): 19.004 14.270 9.904
angles (deg): 90.00 90.00 90.00
Fractional coordinates of all 96 atoms:
Cs1 0.000 0.000 0.000
Cs2 0.250 0.500 0.409
Cs3 0.500 0.000 0.000
Cs4 0.750 0.500 0.591
K1 0.250 0.251 0.842
K2 0.250 0.749 0.842
K3 0.750 0.251 0.158
K4 0.750 0.749 0.158
Zr1 0.029 0.384 0.158
Zr2 0.029 0.616 0.158
Zr3 0.114 0.500 0.919
Zr4 0.163 0.116 0.353
Zr5 0.163 0.884 0.353
Zr6 0.250 0.000 0.122
Zr7 0.250 0.000 0.586
Zr8 0.337 0.116 0.353
Zr9 0.337 0.884 0.353
Zr10 0.386 0.500 0.919
Zr11 0.471 0.384 0.158
Zr12 0.471 0.616 0.158
Zr13 0.529 0.384 0.842
Zr14 0.529 0.616 0.842
Zr15 0.614 0.500 0.081
Zr16 0.663 0.116 0.647
Zr17 0.663 0.884 0.647
Zr18 0.750 0.000 0.414
Zr19 0.750 0.000 0.878
Zr20 0.837 0.116 0.647
Zr21 0.837 0.884 0.647
Zr22 0.886 0.500 0.081
Zr23 0.971 0.384 0.842
Zr24 0.971 0.616 0.842
B1 0.000 0.500 0.000
B2 0.250 0.000 0.354
B3 0.500 0.500 0.000
B4 0.750 0.000 0.646
Cl1 0.000 0.248 0.000
Cl2 0.000 0.752 0.000
Cl3 0.059 0.000 0.350
Cl4 0.063 0.251 0.343
Cl5 0.063 0.500 0.346
Cl6 0.063 0.749 0.343
Cl7 0.096 0.372 0.741
Cl8 0.096 0.628 0.741
Cl9 0.154 0.127 0.613
Cl10 0.154 0.873 0.613
Cl11 0.156 0.127 0.092
Cl12 0.156 0.873 0.092
Cl13 0.159 0.376 0.086
Cl14 0.159 0.624 0.086
Cl15 0.250 0.000 0.854
Cl16 0.250 0.253 0.360
Cl17 0.250 0.500 0.812
Cl18 0.250 0.747 0.360
Cl19 0.341 0.376 0.086
Cl20 0.341 0.624 0.086
Cl21 0.344 0.127 0.092
Cl22 0.344 0.873 0.092
Cl23 0.346 0.127 0.613
Cl24 0.346 0.873 0.613
Cl25 0.404 0.372 0.741
Cl26 0.404 0.628 0.741
Cl27 0.437 0.251 0.343
Cl28 0.437 0.500 0.346
Cl29 0.437 0.749 0.343
Cl30 0.441 0.000 0.350
Cl31 0.500 0.248 0.000
Cl32 0.500 0.752 0.000
Cl33 0.559 0.000 0.650
Cl34 0.563 0.251 0.657
Cl35 0.563 0.500 0.654
Cl36 0.563 0.749 0.657
Cl37 0.596 0.372 0.259
Cl38 0.596 0.628 0.259
Cl39 0.654 0.127 0.387
Cl40 0.654 0.873 0.387
Cl41 0.656 0.127 0.908
Cl42 0.656 0.873 0.908
Cl43 0.659 0.376 0.914
Cl44 0.659 0.624 0.914
Cl45 0.750 0.000 0.146
Cl46 0.750 0.253 0.640
Cl47 0.750 0.500 0.188
Cl48 0.750 0.747 0.640
Cl49 0.841 0.376 0.914
Cl50 0.841 0.624 0.914
Cl51 0.844 0.127 0.908
Cl52 0.844 0.873 0.908
Cl53 0.846 0.127 0.387
Cl54 0.846 0.873 0.387
Cl55 0.904 0.372 0.259
Cl56 0.904 0.628 0.259
Cl57 0.937 0.251 0.657
Cl58 0.937 0.500 0.654
Cl59 0.937 0.749 0.657
Cl60 0.941 0.000 0.650



Entry 3:
This record from the Materials Project describes a relaxed structure of BaNd2PtO5. The functional is PBE-GGA.

Calculated values
* ΔE_f: -2.97 eV/atom
* size of the total moment: 0.000 μB/atom
* energy with MP2020 corrections: -7.6705 eV per atom
* ρ: 8.3 g cm⁻³
* symmetry: No. 127

a b c (Å): 6.831 6.831 6.001
angles (deg): 90.00 90.00 90.00
Fractional coordinates of all 18 atoms:
Ba1 0.000 0.000 0.000
Ba2 0.500 0.500 0.000
Nd1 0.174 0.326 0.500
Nd2 0.326 0.826 0.500
Nd3 0.674 0.174 0.500
Nd4 0.826 0.674 0.500
Pt1 0.000 0.500 0.000
Pt2 0.500 0.000 0.000
O1 0.000 0.000 0.500
O2 0.139 0.639 0.254
O3 0.139 0.639 0.746
O4 0.361 0.139 0.254
O5 0.361 0.139 0.746
O6 0.500 0.500 0.500
O7 0.639 0.861 0.254
O8 0.639 0.861 0.746
O9 0.861 0.361 0.254
O10 0.861 0.361 0.746



Entry 4:
This record from the Materials Project describes a relaxed structure of La2MgSe4. The functional is PBE-GGA.

Calculated values
* ΔE_f: -1.82 eV/atom
* size of the total moment: 0.000 μB/atom
* relative energy among the computed polymorphs: 0.205 eV per atom
* energy with MP2020 corrections: -5.4603 eV per atom
* ρ: 4.2 g cm⁻³
* symmetry: No. 2

a b c (Å): 7.865 9.163 13.757
angles (deg): 99.89 96.11 90.01
Fractional coordinates of all 28 atoms:
La1 0.131 0.443 0.307
La2 0.135 0.961 0.311
La3 0.256 0.131 0.000
La4 0.366 0.301 0.691
La5 0.634 0.699 0.309
La6 0.744 0.869 0.000
La7 0.865 0.039 0.689
La8 0.869 0.557 0.693
Mg1 0.251 0.619 0.992
Mg2 0.364 0.799 0.702
Mg3 0.636 0.201 0.298
Mg4 0.749 0.381 0.008
Se1 0.089 0.413 0.098
Se2 0.114 0.889 0.101
Se3 0.200 0.551 0.624
Se4 0.203 0.013 0.629
Se5 0.306 0.720 0.382
Se6 0.347 0.220 0.374
Se7 0.385 0.838 0.892
Se8 0.413 0.361 0.900
Se9 0.587 0.639 0.100
Se10 0.615 0.162 0.108
Se11 0.653 0.780 0.626
Se12 0.694 0.280 0.618
Se13 0.797 0.987 0.371
Se14 0.800 0.449 0.376
Se15 0.886 0.111 0.899
Se16 0.911 0.587 0.902



Entry 5:
This record from the Materials Project describes a relaxed structure of BaSrYBiO6. The functional is PBE-GGA.

Calculated values
* ΔE_f: -2.81 eV/atom
* size of the total moment: 0.000 μB/atom
* relative energy among the computed polymorphs: 0.000 eV per atom
* energy with MP2020 corrections: -7.1790 eV per atom
* ρ: 6.4 g cm⁻³
* symmetry: No. 16

a b c (Å): 8.622 8.627 8.631
angles (deg): 90.00 90.00 90.00
Fractional coordinates of all 40 atoms:
Ba1 0.000 0.000 0.000
Ba2 0.000 0.000 0.500
Ba3 0.000 0.500 0.000
Ba4 0.500 0.500 0.000
Sr1 0.000 0.500 0.500
Sr2 0.500 0.000 0.000
Sr3 0.500 0.000 0.500
Sr4 0.500 0.500 0.500
Y1 0.252 0.250 0.253
Y2 0.252 0.750 0.747
Y3 0.748 0.250 0.747
Y4 0.748 0.750 0.253
Bi1 0.252 0.250 0.747
Bi2 0.252 0.750 0.253
Bi3 0.748 0.250 0.253
Bi4 0.748 0.750 0.747
O1 0.007 0.220 0.776
O2 0.007 0.780 0.224
O3 0.212 0.285 0.506
O4 0.212 0.715 0.494
O5 0.226 0.494 0.781
O6 0.226 0.506 0.219
O7 0.286 0.007 0.710
O8 0.286 0.993 0.290
O9 0.289 0.216 0.992
O10 0.289 0.784 0.008
O11 0.494 0.288 0.711
O12 0.494 0.712 0.289
O13 0.506 0.288 0.289
O14 0.506 0.712 0.711
O15 0.711 0.216 0.008
O16 0.711 0.784 0.992
O17 0.714 0.007 0.290
O18 0.714 0.993 0.710
O19 0.774 0.494 0.219
O20 0.774 0.506 0.781
O21 0.788 0.285 0.494
O22 0.788 0.715 0.506
O23 0.993 0.220 0.224
O24 0.993 0.780 0.776



Entry 6:
This record from the Materials Project describes a relaxed structure of TeS3N2. The functional is PBE-GGA.

Calculated values
* ΔE_f: 0.50 eV/atom
* size of the total moment: 0.000 μB/atom
* relative energy among the computed polymorphs: 0.136 eV per atom
* energy with MP2020 corrections: -4.8675 eV per atom
* ρ: 2.7 g cm⁻³
* symmetry: No. 62

a b c (Å): 7.769 8.879 8.977
angles (deg): 90.00 90.00 90.00
Fractional coordinates of all 24 atoms:
Te1 0.238 0.250 0.217
Te2 0.262 0.750 0.717
Te3 0.738 0.250 0.283
Te4 0.762 0.750 0.783
S1 0.004 0.045 0.300
S2 0.004 0.455 0.300
S3 0.008 0.750 0.269
S4 0.492 0.250 0.769
S5 0.496 0.545 0.800
S6 0.496 0.955 0.800
S7 0.504 0.045 0.200
S8 0.504 0.455 0.200
S9 0.508 0.750 0.231
S10 0.992 0.250 0.731
S11 0.996 0.545 0.700
S12 0.996 0.955 0.700
N1 0.066 0.104 0.810
N2 0.066 0.396 0.810
N3 0.434 0.604 0.310
N4 0.434 0.896 0.310
N5 0.566 0.104 0.690
N6 0.566 0.396 0.690
N7 0.934 0.604 0.190
N8 0.934 0.896 0.190



Entry 7:
This record from the Materials Project describes a relaxed structure of LiAgF2. The functional is PBE-GGA.

Calculated values
* ΔE_f: -2.15 eV/atom
* size of the total moment: 0.000 μB/atom
* relative energy among the computed polymorphs: 0.028 eV per atom
* energy with MP2020 corrections: -4.2901 eV per atom
* ρ: 4.4 g cm⁻³
* symmetry: No. 33

a b c (Å): 5.699 7.217 5.579
angles (deg): 90.00 90.00 90.00
Fractional coordinates of all 16 atoms:
Li1 0.073 0.127 0.000
Li2 0.427 0.627 0.500
Li3 0.573 0.373 0.000
Li4 0.927 0.873 0.500
Ag1 0.071 0.634 0.995
Ag2 0.429 0.134 0.495
Ag3 0.571 0.866 0.995
Ag4 0.929 0.366 0.495
F1 0.039 0.081 0.331
F2 0.104 0.658 0.425
F3 0.396 0.158 0.925
F4 0.461 0.581 0.831
F5 0.539 0.419 0.331
F6 0.604 0.842 0.425
F7 0.896 0.342 0.925
F8 0.961 0.919 0.831



Entry 8:
This record from the Materials Project describes a relaxed structure of Na2Ti2Si2SO12. The functional is PBE-GGA.

Calculated values
* ΔE_f: -2.87 eV/atom
* size of the total moment: 0.000 μB/atom
* energy with MP2020 corrections: -7.7502 eV per atom
* ρ: 2.8 g cm⁻³

a b c (Å): 8.835 8.835 22.210
angles (deg): 89.72 90.28 120.01
Fractional coordinates of all 114 atoms:
Na1 0.997 0.629 0.254
Na2 0.371 0.003 0.754
Na3 0.664 0.963 0.587
Na4 0.037 0.336 0.087
Na5 0.331 0.296 0.920
Na6 0.704 0.669 0.420
Na7 0.022 0.999 0.501
Na8 0.001 0.978 0.001
Na9 0.689 0.333 0.834
Na10 0.667 0.311 0.334
Na11 0.355 0.666 0.167
Na12 0.334 0.645 0.667
Ti1 0.979 0.991 0.355
Ti2 0.009 0.021 0.855
Ti3 0.998 0.000 0.646
Ti4 0.000 0.002 0.146
Ti5 0.645 0.325 0.688
Ti6 0.675 0.355 0.188
Ti7 0.665 0.333 0.979
Ti8 0.667 0.335 0.479
Ti9 0.312 0.658 0.022
Ti10 0.342 0.688 0.522
Ti11 0.331 0.667 0.312
Ti12 0.333 0.669 0.812
Si1 0.705 0.716 0.250
Si2 0.998 0.287 0.249
Si3 0.284 0.295 0.750
Si4 0.713 0.002 0.749
Si5 0.372 0.049 0.583
Si6 0.665 0.620 0.582
Si7 0.951 0.628 0.083
Si8 0.380 0.335 0.082
Si9 0.038 0.382 0.917
Si10 0.332 0.953 0.915
Si11 0.618 0.962 0.417
Si12 0.047 0.668 0.415
S1 0.290 0.005 0.250
S2 0.995 0.710 0.750
S3 0.957 0.338 0.584
S4 0.662 0.043 0.084
S5 0.624 0.672 0.917
S6 0.328 0.376 0.417
O1 0.209 0.024 0.305
O2 0.828 0.794 0.311
O3 0.980 0.161 0.306
O4 0.206 0.172 0.811
O5 0.976 0.791 0.805
O6 0.839 0.020 0.806
O7 0.800 0.974 0.687
O8 0.160 0.184 0.693
O9 0.022 0.818 0.696
O10 0.816 0.840 0.193
O11 0.026 0.200 0.187
O12 0.182 0.978 0.196
O13 0.875 0.357 0.638
O14 0.494 0.127 0.644
O15 0.647 0.494 0.639
O16 0.873 0.506 0.144
O17 0.643 0.125 0.138
O18 0.506 0.353 0.139
O19 0.466 0.307 0.021
O20 0.827 0.517 0.027
O21 0.688 0.152 0.029
O22 0.483 0.173 0.527
O23 0.693 0.534 0.521
O24 0.848 0.312 0.529
O25 0.542 0.690 0.972
O26 0.161 0.461 0.978
O27 0.313 0.827 0.973
O28 0.539 0.839 0.478
O29 0.310 0.458 0.472
O30 0.173 0.687 0.473
O31 0.133 0.640 0.354
O32 0.494 0.851 0.360
O33 0.355 0.485 0.362
O34 0.149 0.506 0.860
O35 0.360 0.867 0.854
O36 0.515 0.645 0.862
O37 0.028 0.845 0.411
O38 0.810 0.973 0.410
O39 0.177 0.200 0.411
O40 0.027 0.190 0.910
O41 0.155 0.972 0.911
O42 0.800 0.823 0.911
O43 0.968 0.174 0.586
O44 0.179 0.026 0.590
O45 0.833 0.819 0.589
O46 0.974 0.821 0.090
O47 0.826 0.032 0.086
O48 0.181 0.167 0.089
O49 0.695 0.178 0.744
O50 0.477 0.307 0.744
O51 0.844 0.533 0.745
O52 0.693 0.523 0.244
O53 0.822 0.305 0.244
O54 0.467 0.156 0.245
O55 0.635 0.507 0.920
O56 0.846 0.360 0.923
O57 0.500 0.152 0.923
O58 0.640 0.154 0.423
O59 0.493 0.365 0.420
O60 0.848 0.500 0.423
O61 0.362 0.511 0.078
O62 0.144 0.640 0.077
O63 0.511 0.866 0.078
O64 0.360 0.856 0.577
O65 0.489 0.638 0.578
O66 0.134 0.489 0.578
O67 0.301 0.840 0.253
O68 0.513 0.693 0.256
O69 0.166 0.485 0.256
O70 0.307 0.487 0.756
O71 0.160 0.699 0.753
O72 0.515 0.834 0.756



Question: Which value of ΔE_f does entry 3 give?
Answer: -2.97 eV/atom



Question: Which of these has the highest ΔE_f?
Answer: TeS3N2



Question: Which of these has the lowest ρ?
Answer: TeS3N2